The following is a DFT calculation (meta-GGA r2SCAN) of crystalline MnFe3 at its relaxed geometry.

Structure (POSCAR):
```
MnFe3
1.0
2.832 0.000 0.000
0.000 2.832 0.000
0.000 0.000 5.739
Mn Fe
1 3
Direct
0.000 0.000 0.000
0.000 0.000 0.500
0.500 0.500 0.247
0.500 0.500 0.753
```

Computed properties:
ρ = 8.0 Mg/m³
Magnetic moment = 7.67 Bohr magnetons per cell
Final energy = -57.5 eV per cell
E_form = 0.1171 eV/atom
Space group = P4/mmm, No. 123